Mg9Fe2N8 after structural relaxation, computed with GGA-PBE.

```
Mg9Fe2N8
1.0
7.993 -2.167 0.000
7.993 2.167 0.000
-2.121 0.000 6.678
Mg Fe N
9 2 8
Direct
0.000 0.000 0.000
0.091 0.091 0.455
0.170 0.170 0.931
0.333 0.333 0.758
0.458 0.458 0.287
0.542 0.542 0.713
0.667 0.667 0.242
0.830 0.830 0.069
0.909 0.909 0.545
0.289 0.289 0.302
0.711 0.711 0.698
0.036 0.036 0.750
0.170 0.170 0.239
0.321 0.321 0.080
0.392 0.392 0.515
0.608 0.608 0.485
0.679 0.679 0.920
0.830 0.830 0.761
0.964 0.964 0.250
```

Summary:
SG	C2/m (12)
energy of formation from the pure elements	-0.6360	eV/atom
VASP energy	-107.2	eV per cell
corrected total energy (MP2020 scheme)	-5.796	eV/atom
V	231.3	Å³ per cell